(1)
MgV6H6O18 PBE+U optimized geometry; ΔE to the lowest computed polymorph = 25 meV per atom; symmetry = No. 1; ΔE_f = -2.029 eV/atom
1.0
5.310 0.000 0.000
-2.560 7.610 0.000
-0.109 -0.077 9.437
Mg V H O
1 6 6 18
Cartesian
0.000 0.000 0.000
-0.914 2.472 6.402
0.486 3.138 1.621
1.843 1.440 4.644
1.759 1.544 8.043
3.018 4.008 3.368
2.910 4.142 9.347
0.761 5.108 6.375
0.284 7.202 3.209
0.412 7.312 0.886
2.015 5.726 5.470
2.000 5.796 7.199
3.981 0.482 1.802
-0.160 1.599 1.303
0.018 1.289 7.755
0.197 1.451 5.068
-0.655 4.233 0.402
-0.601 3.994 2.981
-0.041 3.874 6.461
1.984 0.188 9.050
-0.382 7.492 3.880
1.521 2.808 9.431
1.743 2.529 3.082
2.478 1.044 6.414
1.450 5.881 6.339
1.189 7.172 1.501
2.289 4.435 1.651
3.125 2.826 4.917
3.096 2.979 7.822
2.625 5.391 4.195
2.542 5.694 8.658

---

(2)
MgV6H6O18 PBE+U optimized geometry; ΔE to the lowest computed polymorph = 0 meV per atom; symmetry = No. 1; ΔE_f = -2.054 eV/atom
1.0
5.614 0.000 0.000
1.686 7.639 0.000
0.324 0.820 8.926
Mg V H O
1 6 6 18
Cartesian
0.000 0.000 0.000
2.138 4.198 0.466
3.540 4.800 5.008
4.927 3.215 2.242
5.191 3.676 7.874
6.449 6.141 6.546
6.361 5.852 3.200
0.576 1.633 4.310
0.690 1.706 5.962
1.998 2.164 5.083
2.688 2.202 8.428
4.614 8.276 8.288
4.722 0.490 2.460
1.226 1.469 5.113
2.505 6.031 6.118
2.364 5.515 3.575
2.612 5.771 0.226
2.296 1.312 8.628
2.981 3.262 5.208
3.252 3.386 1.871
3.478 3.755 8.273
4.998 4.888 6.361
4.936 4.636 3.620
5.937 6.659 4.728
6.214 7.477 7.551
5.181 1.893 3.268
6.359 7.259 1.950
5.390 2.276 0.661
5.555 2.183 7.179
6.314 4.466 1.768
6.664 4.867 8.006

---

(3)
MnPH6NO5 PBE+U optimized geometry; largest piezoelectric modulus = 0.38 C/m2; ΔE_f = -1.561 eV/atom
1.0
0.000 0.000 4.895
5.779 0.000 0.000
0.000 18.055 -0.001
O H Mn N P
20 24 4 4 4
Cartesian
0.000 7.164 3.429
2.889 5.691 0.691
0.000 12.364 3.135
0.000 3.336 3.137
1.247 1.148 3.633
4.137 16.906 1.184
2.889 16.574 3.865
5.779 1.481 1.420
5.779 10.509 1.419
4.136 7.879 1.187
1.642 16.906 1.184
1.247 10.177 3.633
1.643 7.879 1.187
2.890 14.719 0.687
2.889 10.889 0.984
4.532 1.149 3.633
0.000 16.192 3.429
2.889 1.864 0.981
4.532 10.177 3.633
2.889 7.545 3.868
0.782 16.303 2.835
0.000 4.096 4.717
3.671 10.779 0.390
3.671 1.752 0.387
2.889 13.959 2.269
4.997 7.276 2.834
2.108 1.752 0.387
2.108 10.779 0.390
3.743 3.735 3.118
0.000 13.152 1.563
0.853 14.321 0.669
2.890 13.931 4.010
0.782 7.276 2.834
3.743 12.762 3.117
0.000 13.123 4.717
4.926 5.293 0.670
4.926 14.321 0.669
4.997 16.303 2.835
2.036 12.762 3.117
2.036 3.735 3.118
2.889 4.904 4.011
0.853 5.293 0.670
0.000 4.124 1.563
2.889 4.931 2.270
5.779 17.831 0.133
2.890 9.250 2.583
5.779 8.799 0.133
2.889 0.226 2.580
0.000 13.734 0.683
2.889 13.349 3.131
2.889 4.321 3.131
0.000 4.707 0.684
0.000 1.794 2.918
2.889 7.232 0.472
0.000 10.822 2.917
2.889 16.260 0.469